NaMnCl3 | meta-GGA r2SCAN | optimized geometry

Lattice parameters (Å, degrees): 7.248 7.248 7.248 53.94 53.94 53.94
Element x y z (fractional)
Na: 0.146 0.146 0.146
Na: 0.854 0.854 0.854
Mn: 0.340 0.340 0.340
Mn: 0.660 0.660 0.660
Cl: 0.067 0.450 0.717
Cl: 0.283 0.933 0.550
Cl: 0.450 0.717 0.067
Cl: 0.550 0.283 0.933
Cl: 0.717 0.067 0.450
Cl: 0.933 0.550 0.283

- SG: R-3, No. 148
- Volume: 231 Å³ per cell
- Raw total energy: -91.053 eV for the cell shown
- Formation energy from the elements: -1764.3 meV per atom